Here is crystalline LiCoSiO4 at its relaxed geometry from Materials Project. Energies are from GGA+U.

a b c (Å): 10.156 5.796 4.771
angles (deg): 90.00 90.00 90.00
Sites, in units of the cell vectors:
Li 0.000 0.000 0.000
Li 0.000 0.500 0.000
Li 0.500 0.000 0.500
Li 0.500 0.500 0.500
Co 0.224 0.250 0.483
Co 0.276 0.750 0.983
Co 0.724 0.250 0.017
Co 0.776 0.750 0.517
Si 0.093 0.750 0.444
Si 0.407 0.250 0.944
Si 0.593 0.750 0.056
Si 0.907 0.250 0.556
O 0.055 0.250 0.689
O 0.101 0.750 0.784
O 0.172 0.532 0.288
O 0.172 0.968 0.288
O 0.328 0.032 0.788
O 0.328 0.468 0.788
O 0.399 0.250 0.284
O 0.445 0.750 0.189
O 0.555 0.250 0.811
O 0.601 0.750 0.716
O 0.672 0.532 0.212
O 0.672 0.968 0.212
O 0.828 0.032 0.712
O 0.828 0.468 0.712
O 0.899 0.250 0.216
O 0.945 0.750 0.311

Summary:
E (MP2020) in eV per atom: -7.18
Total moment in μB/f.u.: 2.00
E_form in meV/atom: -2286
SG: Pnma